Entry 1:
VASP calculation (PBE) on a geometry-optimized La20S29O structure.

a b c (Å): 15.0583 15.0583 15.0583
angles (deg): 117.84 117.84 93.78
Sites, in units of the cell vectors:
La1 0.8883 0.8843 0.2760
La2 0.0460 0.9501 0.6539
La3 0.8352 0.1776 0.3668
La4 0.1089 0.2038 0.6544
La5 0.5317 0.1648 0.3425
La6 0.0507 0.6923 0.3765
La7 0.9276 0.0852 0.8668
La8 0.8224 0.1892 0.6575
La9 0.6079 0.9540 0.9041
La10 0.5493 0.4545 0.3456
La11 0.2007 0.0462 0.4052
La12 0.1157 0.3917 0.0041
La13 0.6343 0.1383 0.7760
La14 0.8617 0.6377 0.4959
La15 0.3258 0.9493 0.6416
La16 0.8108 0.4683 0.6332
La17 0.9392 0.0724 0.1575
La18 0.5455 0.8911 0.0948
La19 0.4538 0.2999 0.5959
La20 0.2962 0.3921 0.3461
La21 0.7962 0.4507 0.9052
La22 0.7040 0.8579 0.4041
La23 0.9538 0.3589 0.1544
La24 0.3077 0.6841 0.3584
La25 0.9148 0.7817 0.8425
La26 0.4423 0.3007 0.8765
La27 0.3877 0.1117 0.9959
La28 0.6083 0.6123 0.7240
La29 0.1417 0.3657 0.5041
La30 0.0499 0.7038 0.0959
La31 0.6411 0.7955 0.5948
La32 0.7001 0.2960 0.1539
La33 0.2183 0.0608 0.1332
La34 0.3159 0.6742 0.6235
La35 0.4341 0.5577 0.8584
La36 0.6993 0.5758 0.1416
La37 0.1421 0.5462 0.8461
La38 0.4242 0.5659 0.1235
La39 0.2045 0.7993 0.8456
La40 0.3623 0.8583 0.2240
S1 0.1072 0.9379 0.4828
S2 0.0286 0.1250 0.4036
S3 0.9191 0.2795 0.2880
S4 0.8768 0.0430 0.4840
S5 0.5884 0.9813 0.3330
S6 0.0295 0.1691 0.7880
S7 0.7205 0.0085 0.6396
S8 0.8688 0.5112 0.2845
S9 0.0187 0.3516 0.6071
S10 0.7500 0.2500 0.5000
S11 0.0000 0.0000 0.0000
S12 0.0054 0.8984 0.1670
S13 0.5130 0.9063 0.6614
S14 0.7446 0.4116 0.3929
S15 0.3689 0.0809 0.3604
S16 0.1016 0.2687 0.1071
S17 0.6484 0.2554 0.6670
S18 0.0937 0.7551 0.6067
S19 0.8750 0.2786 0.9036
S20 0.8750 0.7751 0.4001
S21 0.6428 0.6256 0.3307
S22 0.7930 0.1268 0.9840
S23 0.9570 0.4410 0.8338
S24 0.3756 0.8928 0.8307
S25 0.1910 0.2070 0.3338
S26 0.5590 0.3928 0.5160
S27 0.9915 0.6311 0.7120
S28 0.7585 0.9705 0.1396
S29 0.4157 0.1312 0.6425
S30 0.5251 0.1250 0.9001
S31 0.7214 0.6250 0.5964
S32 0.2612 0.1188 0.7845
S33 0.8309 0.6189 0.8604
S34 0.4888 0.7732 0.3575
S35 0.6879 0.3572 0.9828
S36 0.0621 0.5449 0.1693
S37 0.8732 0.8572 0.6662
S38 0.6072 0.1232 0.1662
S39 0.4551 0.6244 0.5172
S40 0.2949 0.3121 0.6693
S41 0.3750 0.4749 0.5999
S42 0.3750 0.9714 0.0964
S43 0.6016 0.4949 0.8386
S44 0.1484 0.4870 0.3933
S45 0.1616 0.9946 0.8929
S46 0.8812 0.6657 0.1425
S47 0.5051 0.3437 0.1067
S48 0.7313 0.8384 0.8330
S49 0.2449 0.8516 0.3386
S50 0.2370 0.3984 0.8933
S51 0.3811 0.2415 0.2120
S52 0.2268 0.5843 0.7155
S53 0.5232 0.7388 0.8575
S54 0.6563 0.7630 0.1614
S55 0.3744 0.7051 0.0172
S56 0.3343 0.4768 0.2155
S57 0.2249 0.6250 0.0999
S58 0.1428 0.8090 0.0160
O1 0.2500 0.7500 0.5000
O2 0.5000 0.5000 0.0000

Calculated values
As for the energy above the most stable polymorph in this dataset: 3 meV per atom. Its space-group type is No. 122. As for the size of the total moment: 0.000 μB per atom. The value obtained for the energy relative to the elements is -2.55 eV/atom.

***

Entry 2:
VASP calculation (PBE) on a geometry-optimized La20S29O structure.

a b c (Å): 15.0537 15.0537 15.0537
angles (deg): 62.18 62.18 93.81
Sites, in units of the cell vectors:
La1 0.1725 0.5751 0.8446
La2 0.6725 0.5172 0.4026
La3 0.5755 0.1702 0.3460
La4 0.0755 0.4215 0.5947
La5 0.8298 0.4245 0.1540
La6 0.3298 0.4838 0.5947
La7 0.4249 0.8275 0.6554
La8 0.9249 0.5802 0.4026
La9 0.4198 0.0751 0.0974
La10 0.9198 0.0172 0.6554
La11 0.5162 0.6702 0.9053
La12 0.0162 0.9215 0.1540
La13 0.5785 0.9245 0.9053
La14 0.0785 0.9838 0.3460
La15 0.4828 0.3275 0.0974
La16 0.9828 0.0802 0.8446
La17 0.2628 0.0128 0.4744
La18 0.7628 0.2372 0.7500
La19 0.0136 0.2636 0.9728
La20 0.5136 0.4864 0.2500
La21 0.7364 0.9864 0.5272
La22 0.2364 0.7636 0.2500
La23 0.9872 0.7372 0.0256
La24 0.4872 0.5128 0.7500
La25 0.4041 0.8129 0.3856
La26 0.9041 0.2897 0.4088
La27 0.8181 0.4275 0.8724
La28 0.3181 0.1904 0.6095
La29 0.5725 0.1819 0.6276
La30 0.0725 0.7001 0.6095
La31 0.1871 0.5959 0.1144
La32 0.6871 0.8015 0.4088
La33 0.1985 0.3129 0.0912
La34 0.6985 0.7897 0.1144
La35 0.2999 0.9275 0.8905
La36 0.7999 0.6904 0.6276
La37 0.8096 0.6819 0.8905
La38 0.3096 0.2001 0.8724
La39 0.7103 0.0959 0.0912
La40 0.2103 0.3015 0.3856
S1 0.2084 0.7482 0.8880
S2 0.7084 0.5964 0.5398
S3 0.7394 0.2067 0.3935
S4 0.2394 0.6330 0.4673
S5 0.7933 0.2606 0.1065
S6 0.2933 0.3997 0.4673
S7 0.2518 0.7916 0.6120
S8 0.7518 0.3638 0.5398
S9 0.6362 0.2482 0.9602
S10 0.1362 0.0964 0.6120
S11 0.6003 0.7067 0.0327
S12 0.1003 0.1330 0.1065
S13 0.3670 0.7606 0.0327
S14 0.8670 0.8997 0.3935
S15 0.4036 0.2916 0.9602
S16 0.9036 0.8638 0.8880
S17 0.0302 0.8876 0.5895
S18 0.5302 0.1196 0.8574
S19 0.8931 0.0368 0.0826
S20 0.3931 0.4757 0.1437
S21 0.9632 0.1069 0.4174
S22 0.4632 0.8806 0.1437
S23 0.1124 0.9698 0.9105
S24 0.6124 0.5229 0.8574
S25 0.4771 0.3876 0.6426
S26 0.9771 0.6196 0.9105
S27 0.1194 0.5368 0.3563
S28 0.6194 0.9757 0.4174
S29 0.5243 0.6069 0.3563
S30 0.0243 0.3806 0.0826
S31 0.8804 0.4698 0.6426
S32 0.3804 0.0229 0.5895
S33 0.4337 0.6676 0.5847
S34 0.9337 0.5184 0.2339
S35 0.6701 0.4375 0.0807
S36 0.1701 0.2508 0.7674
S37 0.5625 0.3299 0.4193
S38 0.0625 0.4818 0.7674
S39 0.3324 0.5663 0.9153
S40 0.8324 0.7477 0.2339
S41 0.2523 0.1676 0.2661
S42 0.7523 0.0184 0.9153
S43 0.5182 0.9375 0.7326
S44 0.0182 0.7508 0.4193
S45 0.7492 0.8299 0.7326
S46 0.2492 0.9818 0.0807
S47 0.4816 0.0663 0.2661
S48 0.9816 0.2477 0.5847
S49 0.5994 0.7487 0.6541
S50 0.0994 0.7535 0.1494
S51 0.7513 0.5972 0.1494
S52 0.2513 0.4006 0.8459
S53 0.4028 0.2487 0.3506
S54 0.9028 0.2535 0.8459
S55 0.7465 0.0972 0.6541
S56 0.2465 0.9006 0.3506
S57 0.6250 0.8750 0.2500
S58 0.1250 0.3750 0.2500
O1 0.8750 0.6250 0.7500
O2 0.3750 0.1250 0.7500

Calculated values
As for the energy above the most stable polymorph in this dataset: 0 meV per atom. Its space-group type is No. 120. As for the size of the total moment: 0.000 μB per atom. The value obtained for the energy relative to the elements is -2.55 eV/atom.

***

Entry 3:
VASP calculation (PBE) on a geometry-optimized La2S2O structure.

a b c (Å): 7.3732 7.2304 8.7007
angles (deg): 81.45 90.00 90.00
Sites, in units of the cell vectors:
La1 0.4442 0.2480 0.1368
La2 0.0558 0.7480 0.1368
La3 0.8630 0.3126 0.4197
La4 0.6370 0.8126 0.4197
La5 0.3630 0.1874 0.5803
La6 0.1370 0.6874 0.5803
La7 0.9442 0.2520 0.8632
La8 0.5558 0.7520 0.8632
S1 0.7743 0.4725 0.0792
S2 0.7257 0.9725 0.0792
S3 0.1446 0.0629 0.3234
S4 0.3554 0.5629 0.3234
S5 0.6446 0.4371 0.6766
S6 0.8554 0.9371 0.6766
S7 0.2743 0.0275 0.9208
S8 0.2257 0.5275 0.9208
O1 0.5848 0.1495 0.3826
O2 0.9152 0.6495 0.3826
O3 0.0848 0.3505 0.6174
O4 0.4152 0.8505 0.6174

Calculated values
As for the energy above the most stable polymorph in this dataset: 0 meV per atom. Its space-group type is No. 14. The value obtained for the energy relative to the elements is -3.03 eV/atom.

***

Entry 4:
VASP calculation (PBE) on a geometry-optimized La2S3O16 structure.

a b c (Å): 7.2971 12.7752 18.5937
angles (deg): 49.82 90.00 90.00
Sites, in units of the cell vectors:
La1 0.8709 0.2351 0.0816
La2 0.6291 0.2351 0.5816
La3 0.1291 0.7649 0.9184
La4 0.3709 0.7649 0.4184
La5 0.0872 0.1649 0.3139
La6 0.4128 0.1649 0.8139
La7 0.9128 0.8351 0.6861
La8 0.5872 0.8351 0.1861
S1 0.6237 0.1870 0.9485
S2 0.8763 0.1870 0.4485
S3 0.3763 0.8130 0.0515
S4 0.1237 0.8130 0.5515
S5 0.8166 0.4627 0.0997
S6 0.6834 0.4627 0.5997
S7 0.1834 0.5373 0.9003
S8 0.3166 0.5373 0.4003
S9 0.8771 0.9086 0.3049
S10 0.6229 0.9086 0.8049
S11 0.1229 0.0914 0.6951
S12 0.3771 0.0914 0.1951
O1 0.7102 0.8416 0.3620
O2 0.7898 0.8416 0.8620
O3 0.2898 0.1584 0.6380
O4 0.2102 0.1584 0.1380
O5 0.8537 0.9370 0.2129
O6 0.6463 0.9370 0.7129
O7 0.1463 0.0630 0.7871
O8 0.3537 0.0630 0.2871
O9 0.8975 0.0504 0.2753
O10 0.6025 0.0504 0.7753
O11 0.1025 0.9496 0.7247
O12 0.3975 0.9496 0.2247
O13 0.0434 0.8287 0.3542
O14 0.4566 0.8287 0.8542
O15 0.9566 0.1713 0.6458
O16 0.5434 0.1713 0.1458
O17 0.4222 0.2013 0.9335
O18 0.0778 0.2013 0.4335
O19 0.5778 0.7987 0.0665
O20 0.9222 0.7987 0.5665
O21 0.7090 0.3016 0.9371
O22 0.7910 0.3016 0.4371
O23 0.2910 0.6984 0.0629
O24 0.2090 0.6984 0.5629
O25 0.6692 0.0605 0.0479
O26 0.8308 0.0605 0.5479
O27 0.3308 0.9395 0.9521
O28 0.1692 0.9395 0.4521
O29 0.6978 0.1714 0.8808
O30 0.8022 0.1714 0.3808
O31 0.3022 0.8286 0.1192
O32 0.1978 0.8286 0.6192
O33 0.9351 0.5870 0.0463
O34 0.5649 0.5870 0.5463
O35 0.0649 0.4130 0.9537
O36 0.4351 0.4130 0.4537
O37 0.9476 0.3347 0.1614
O38 0.5524 0.3347 0.6614
O39 0.0524 0.6653 0.8386
O40 0.4476 0.6653 0.3386
O41 0.6862 0.4594 0.1589
O42 0.8138 0.4594 0.6589
O43 0.3138 0.5406 0.8411
O44 0.1862 0.5406 0.3411
O45 0.7369 0.4436 0.0345
O46 0.7631 0.4436 0.5345
O47 0.2631 0.5564 0.9655
O48 0.2369 0.5564 0.4655
O49 0.3144 0.4006 0.1954
O50 0.1856 0.4006 0.6954
O51 0.6856 0.5994 0.8046
O52 0.8144 0.5994 0.3046
O53 0.0590 0.1370 0.9799
O54 0.4410 0.1370 0.4799
O55 0.9410 0.8630 0.0201
O56 0.5590 0.8630 0.5201
O57 0.2153 0.4437 0.2253
O58 0.2847 0.4437 0.7253
O59 0.7847 0.5563 0.7747
O60 0.7153 0.5563 0.2747
O61 0.4330 0.1975 0.3951
O62 0.0670 0.1975 0.8951
O63 0.5670 0.8025 0.6049
O64 0.9330 0.8025 0.1049

Calculated values
Its space-group type is No. 14. As for the size of the total moment: 0.007 μB per atom. The value obtained for the energy relative to the elements is -1.72 eV/atom.

***

Question: Which of these has the highest energy relative to the elements?
Answer: La2S3O16